Entry from the Materials Project database: crystalline Li3FeBAsO7 at its relaxed geometry (PBE+U).

Results
Magnetic moment, μB/atom: 0.385
E (MP2020), eV/atom: -6.808
Formation energy from the elements, meV/atom: -2179.8
DFT total energy, eV/atom: -6.265

abc: 5.0945 6.5984 8.5768
angles: 90.00 93.82 90.00
Last column: nearest neighbours and their distance in Å.
Sites, in units of the cell vectors:
Li 0.2367 0.0138 0.2786  4 O 2.02-2.24
Li 0.2367 0.4862 0.2786  4 O 2.02-2.24
Li 0.2622 0.2500 0.5849  2 O 2.01-2.03
Li 0.7378 0.7500 0.4151  2 O 2.01-2.03
Li 0.7633 0.5138 0.7214  4 O 2.02-2.24
Li 0.7633 0.9862 0.7214  4 O 2.02-2.24
Fe 0.2194 0.7500 0.8190  6 O 1.98-2.15
Fe 0.7806 0.2500 0.1810  6 O 1.98-2.15
B 0.2769 0.7500 0.5359  3 O 1.36-1.42
B 0.7231 0.2500 0.4641  3 O 1.36-1.42
As 0.2775 0.2500 0.9212  4 O 1.71-1.72
As 0.7225 0.7500 0.0788  4 O 1.71-1.72
O 0.0221 0.7500 0.5899  1 B 1.41
O 0.1487 0.2500 0.1009  1 As 1.71
O 0.1822 0.0535 0.7986  1 As 1.72
O 0.1822 0.4465 0.7986  1 As 1.72
O 0.3391 0.7500 0.3844  1 B 1.36
O 0.3866 0.7500 0.0382  1 As 1.72
O 0.4795 0.7500 0.6576  1 B 1.42
O 0.5205 0.2500 0.3424  1 B 1.42
O 0.6134 0.2500 0.9618  1 As 1.72
O 0.6609 0.2500 0.6156  1 B 1.36
O 0.8178 0.5535 0.2014  1 As 1.72
O 0.8178 0.9465 0.2014  1 As 1.72
O 0.8513 0.7500 0.8991  1 As 1.71
O 0.9779 0.2500 0.4101  1 B 1.41